# 1
A plane-wave DFT calculation with GGA+U was carried out for an optimized crystal structure of Na2RhW3S2O8.

The structure in CIF format:
```
data_Na2RhW3S2O8
_chemical_formula_sum 'Na8 Rh4 W12 S8 O32'
_symmetry_space_group_name_H-M 'P 1'
_symmetry_Int_Tables_number 1
_cell_length_a 8.214
_cell_length_b 11.465
_cell_length_c 14.908
_cell_angle_alpha 55.92
_cell_angle_beta 90.00
_cell_angle_gamma 90.00
loop_
_symmetry_equiv_pos_as_xyz
'x,y,z'
loop_
_atom_site_label
_atom_site_type_symbol
_atom_site_fract_x
_atom_site_fract_y
_atom_site_fract_z
O1 O 0.804 0.072 0.480
O2 O 0.696 0.072 0.980
O3 O 0.086 0.758 0.697
O4 O 0.914 0.242 0.303
O5 O 0.184 0.238 0.927
O6 O 0.048 0.788 0.958
O7 O 0.196 0.928 0.520
O8 O 0.853 0.002 0.356
O9 O 0.470 0.584 0.648
O10 O 0.147 0.998 0.644
O11 O 0.030 0.584 0.148
O12 O 0.414 0.758 0.197
O13 O 0.353 0.998 0.144
O14 O 0.530 0.416 0.352
O15 O 0.952 0.212 0.042
O16 O 0.304 0.928 0.020
O17 O 0.130 0.835 0.183
O18 O 0.630 0.165 0.317
O19 O 0.848 0.603 0.012
O20 O 0.586 0.242 0.803
O21 O 0.316 0.238 0.427
O22 O 0.652 0.603 0.512
O23 O 0.816 0.762 0.073
O24 O 0.647 0.002 0.856
O25 O 0.452 0.788 0.458
O26 O 0.548 0.212 0.542
O27 O 0.970 0.416 0.852
O28 O 0.870 0.165 0.817
O29 O 0.684 0.762 0.573
O30 O 0.348 0.397 0.488
O31 O 0.370 0.835 0.683
O32 O 0.152 0.397 0.988
W1 W 0.634 0.369 0.059
W2 W 0.964 0.532 0.309
W3 W 0.251 0.044 0.258
W4 W 0.249 0.044 0.758
W5 W 0.751 0.956 0.242
W6 W 0.749 0.956 0.742
W7 W 0.036 0.468 0.691
W8 W 0.134 0.631 0.441
W9 W 0.464 0.468 0.191
W10 W 0.366 0.631 0.941
W11 W 0.536 0.532 0.809
W12 W 0.866 0.369 0.559
Rh1 Rh 0.087 0.037 0.911
Rh2 Rh 0.587 0.963 0.589
Rh3 Rh 0.413 0.037 0.411
Rh4 Rh 0.913 0.963 0.089
Na1 Na 0.450 0.188 0.977
Na2 Na 0.584 0.627 0.349
Na3 Na 0.084 0.373 0.151
Na4 Na 0.050 0.188 0.477
Na5 Na 0.550 0.812 0.023
Na6 Na 0.416 0.373 0.651
Na7 Na 0.916 0.627 0.849
Na8 Na 0.950 0.812 0.523
S1 S 0.567 0.689 0.544
S2 S 0.067 0.311 0.956
S3 S 0.933 0.689 0.044
S4 S 0.298 0.877 0.137
S5 S 0.202 0.877 0.637
S6 S 0.433 0.311 0.456
S7 S 0.702 0.123 0.863
S8 S 0.798 0.123 0.363
```

=====

# 2
A plane-wave DFT calculation with GGA+U was carried out for an optimized crystal structure of Li9Mn2Co5O16.

The structure in CIF format:
```
data_Li9Mn2Co5O16
_chemical_formula_sum 'Li9 Mn2 Co5 O16'
_symmetry_space_group_name_H-M 'P 1'
_symmetry_Int_Tables_number 1
_cell_length_a 5.897
_cell_length_b 6.469
_cell_length_c 7.849
_cell_angle_alpha 87.96
_cell_angle_beta 76.46
_cell_angle_gamma 76.61
loop_
_symmetry_equiv_pos_as_xyz
'x,y,z'
loop_
_atom_site_label
_atom_site_type_symbol
_atom_site_fract_x
_atom_site_fract_y
_atom_site_fract_z
O1 O 0.330 0.468 0.325
O2 O 0.466 0.798 0.439
O3 O 0.565 0.710 0.087
O4 O 0.792 0.460 0.322
O5 O 0.054 0.193 0.589
O6 O 0.046 0.699 0.070
O7 O 0.945 0.807 0.412
O8 O 0.434 0.288 0.911
O9 O 0.212 0.546 0.672
O10 O 0.783 0.949 0.816
O11 O 0.672 0.534 0.673
O12 O 0.705 0.046 0.183
O13 O 0.216 0.048 0.185
O14 O 0.553 0.207 0.554
O15 O 0.935 0.302 0.940
O16 O 0.293 0.948 0.821
Li1 Li 0.003 0.498 0.502
Li2 Li 0.627 0.869 0.626
Li3 Li 0.128 0.872 0.625
Li4 Li 0.634 0.377 0.134
Li5 Li 0.370 0.138 0.382
Li6 Li 0.874 0.132 0.380
Li7 Li 0.364 0.619 0.861
Li8 Li 0.879 0.616 0.873
Li9 Li 0.120 0.376 0.120
Co1 Co 0.257 0.753 0.255
Co2 Co 0.744 0.246 0.743
Co3 Co 0.501 0.501 0.501
Co4 Co 0.245 0.247 0.744
Co5 Co 0.498 0.999 0.999
Mn1 Mn 0.997 0.003 0.999
Mn2 Mn 0.757 0.752 0.257
```

=====

# 3
A plane-wave DFT calculation with GGA+U was carried out for an optimized crystal structure of La4Co3O10.

The structure in CIF format:
```
data_La4Co3O10
_chemical_formula_sum 'La16 Co12 O40'
_symmetry_space_group_name_H-M 'P 1'
_symmetry_Int_Tables_number 1
_cell_length_a 5.581
_cell_length_b 5.478
_cell_length_c 28.248
_cell_angle_alpha 89.36
_cell_angle_beta 90.00
_cell_angle_gamma 90.00
loop_
_symmetry_equiv_pos_as_xyz
'x,y,z'
loop_
_atom_site_label
_atom_site_type_symbol
_atom_site_fract_x
_atom_site_fract_y
_atom_site_fract_z
O1 O 0.055 0.492 0.282
O2 O 0.293 0.194 0.992
O3 O 0.560 0.506 0.932
O4 O 0.246 0.761 0.648
O5 O 0.940 0.006 0.932
O6 O 0.752 0.753 0.852
O7 O 0.949 0.991 0.218
O8 O 0.748 0.247 0.134
O9 O 0.449 0.509 0.782
O10 O 0.746 0.739 0.352
O11 O 0.246 0.746 0.368
O12 O 0.781 0.780 0.511
O13 O 0.060 0.994 0.068
O14 O 0.748 0.253 0.852
O15 O 0.445 0.992 0.282
O16 O 0.707 0.806 0.008
O17 O 0.945 0.508 0.718
O18 O 0.754 0.239 0.352
O19 O 0.929 0.504 0.433
O20 O 0.207 0.694 0.992
O21 O 0.429 0.996 0.567
O22 O 0.281 0.720 0.489
O23 O 0.551 0.491 0.218
O24 O 0.752 0.747 0.134
O25 O 0.746 0.754 0.632
O26 O 0.252 0.747 0.148
O27 O 0.254 0.261 0.648
O28 O 0.754 0.254 0.632
O29 O 0.248 0.253 0.866
O30 O 0.252 0.753 0.866
O31 O 0.555 0.008 0.718
O32 O 0.254 0.246 0.368
O33 O 0.440 0.494 0.068
O34 O 0.071 0.496 0.567
O35 O 0.793 0.306 0.008
O36 O 0.219 0.220 0.489
O37 O 0.571 0.004 0.433
O38 O 0.248 0.247 0.148
O39 O 0.719 0.280 0.511
O40 O 0.051 0.009 0.782
La1 La 0.498 0.020 0.068
La2 La 0.985 0.008 0.699
La3 La 0.515 0.508 0.699
La4 La 0.002 0.978 0.432
La5 La 0.998 0.022 0.568
La6 La 0.485 0.492 0.301
La7 La 0.013 0.504 0.800
La8 La 0.015 0.992 0.301
La9 La 0.498 0.478 0.432
La10 La 0.987 0.496 0.200
La11 La 0.002 0.520 0.068
La12 La 0.998 0.480 0.932
La13 La 0.502 0.522 0.568
La14 La 0.487 0.004 0.800
La15 La 0.513 0.996 0.200
La16 La 0.502 0.980 0.932
Co1 Co 0.500 0.000 0.500
Co2 Co 0.497 0.498 0.139
Co3 Co 0.503 0.502 0.861
Co4 Co 0.000 0.500 0.500
Co5 Co 0.997 0.492 0.361
Co6 Co 0.003 0.508 0.639
Co7 Co 0.000 0.000 0.000
Co8 Co 0.497 0.008 0.639
Co9 Co 0.503 0.992 0.361
Co10 Co 0.997 0.002 0.861
Co11 Co 0.003 0.998 0.139
Co12 Co 0.500 0.500 0.000
```

=====

# 4
A plane-wave DFT calculation with GGA+U was carried out for an optimized crystal structure of Zn2Cr9O13.

The structure in CIF format:
```
data_Zn2Cr9O13
_chemical_formula_sum 'Zn2 Cr9 O13'
_symmetry_space_group_name_H-M 'P 1'
_symmetry_Int_Tables_number 1
_cell_length_a 3.079
_cell_length_b 5.237
_cell_length_c 16.937
_cell_angle_alpha 97.78
_cell_angle_beta 92.89
_cell_angle_gamma 95.53
loop_
_symmetry_equiv_pos_as_xyz
'x,y,z'
loop_
_atom_site_label
_atom_site_type_symbol
_atom_site_fract_x
_atom_site_fract_y
_atom_site_fract_z
O1 O 0.527 0.186 0.615
O2 O 0.473 0.814 0.385
O3 O 0.538 0.250 0.317
O4 O 0.546 0.129 0.146
O5 O 0.000 0.000 0.000
O6 O 0.454 0.871 0.854
O7 O 0.568 0.362 0.925
O8 O 0.986 0.292 0.777
O9 O 0.014 0.708 0.223
O10 O 0.963 0.761 0.522
O11 O 0.037 0.239 0.478
O12 O 0.462 0.750 0.683
O13 O 0.432 0.638 0.075
Cr1 Cr 0.500 0.000 0.500
Cr2 Cr 0.236 0.494 0.584
Cr3 Cr 0.390 0.720 0.958
Cr4 Cr 0.003 0.005 0.670
Cr5 Cr 0.764 0.506 0.416
Cr6 Cr 0.995 0.869 0.122
Cr7 Cr 0.610 0.280 0.042
Cr8 Cr 0.997 0.995 0.330
Cr9 Cr 0.005 0.131 0.878
Zn1 Zn 0.479 0.455 0.226
Zn2 Zn 0.521 0.545 0.774
```

=====

# 5
A plane-wave DFT calculation with GGA+U was carried out for an optimized crystal structure of Fe6P4H23O21.

The structure in CIF format:
```
data_Fe6P4H23O21
_chemical_formula_sum 'Fe12 P8 H46 O42'
_symmetry_space_group_name_H-M 'P 1'
_symmetry_Int_Tables_number 1
_cell_length_a 11.077
_cell_length_b 11.077
_cell_length_c 20.150
_cell_angle_alpha 87.42
_cell_angle_beta 87.42
_cell_angle_gamma 28.12
loop_
_symmetry_equiv_pos_as_xyz
'x,y,z'
loop_
_atom_site_label
_atom_site_type_symbol
_atom_site_fract_x
_atom_site_fract_y
_atom_site_fract_z
Fe1 Fe 0.160 0.074 0.422
Fe2 Fe 0.687 0.273 0.839
Fe3 Fe 0.273 0.687 0.339
Fe4 Fe 0.000 0.000 0.500
Fe5 Fe 0.926 0.840 0.078
Fe6 Fe 0.313 0.727 0.161
Fe7 Fe 0.000 0.000 0.000
Fe8 Fe 0.727 0.313 0.661
Fe9 Fe 0.500 0.000 0.000
Fe10 Fe 0.840 0.926 0.578
Fe11 Fe 0.074 0.160 0.922
Fe12 Fe 0.000 0.500 0.500
H1 H 0.310 0.249 0.602
H2 H 0.937 0.849 0.820
H3 H 0.751 0.690 0.898
H4 H 0.841 0.881 0.336
H5 H 0.151 0.063 0.680
H6 H 0.849 0.937 0.320
H7 H 0.427 0.247 0.772
H8 H 0.881 0.841 0.836
H9 H 0.159 0.119 0.664
H10 H 0.119 0.159 0.164
H11 H 0.457 0.065 0.732
H12 H 0.767 0.482 0.201
H13 H 0.233 0.518 0.799
H14 H 0.071 0.352 0.643
H15 H 0.477 0.997 0.235
H16 H 0.849 0.130 0.121
H17 H 0.523 0.003 0.765
H18 H 0.997 0.477 0.735
H19 H 0.249 0.310 0.102
H20 H 0.294 0.201 0.121
H21 H 0.648 0.929 0.857
H22 H 0.045 0.955 0.750
H23 H 0.955 0.045 0.250
H24 H 0.706 0.799 0.879
H25 H 0.063 0.151 0.180
H26 H 0.988 0.612 0.010
H27 H 0.518 0.233 0.299
H28 H 0.799 0.706 0.379
H29 H 0.753 0.573 0.728
H30 H 0.690 0.751 0.398
H31 H 0.612 0.988 0.510
H32 H 0.388 0.012 0.490
H33 H 0.573 0.753 0.228
H34 H 0.201 0.294 0.621
H35 H 0.151 0.870 0.879
H36 H 0.247 0.427 0.272
H37 H 0.003 0.523 0.265
H38 H 0.482 0.767 0.701
H39 H 0.870 0.151 0.379
H40 H 0.130 0.849 0.621
H41 H 0.352 0.071 0.143
H42 H 0.935 0.543 0.768
H43 H 0.065 0.457 0.232
H44 H 0.012 0.388 0.990
H45 H 0.543 0.935 0.268
H46 H 0.929 0.648 0.357
O1 O 0.536 0.208 0.648
O2 O 0.685 0.655 0.512
O3 O 0.991 0.037 0.900
O4 O 0.655 0.685 0.012
O5 O 0.428 0.642 0.820
O6 O 0.654 0.207 0.501
O7 O 0.367 0.384 0.765
O8 O 0.464 0.792 0.352
O9 O 0.828 0.777 0.032
O10 O 0.207 0.654 0.001
O11 O 0.172 0.223 0.968
O12 O 0.793 0.346 0.999
O13 O 0.346 0.793 0.499
O14 O 0.381 0.453 0.398
O15 O 0.136 0.864 0.250
O16 O 0.048 0.671 0.664
O17 O 0.572 0.358 0.180
O18 O 0.009 0.963 0.100
O19 O 0.633 0.616 0.235
O20 O 0.777 0.828 0.532
O21 O 0.547 0.619 0.102
O22 O 0.616 0.633 0.735
O23 O 0.223 0.172 0.468
O24 O 0.671 0.048 0.164
O25 O 0.315 0.345 0.488
O26 O 0.680 0.179 0.009
O27 O 0.037 0.991 0.400
O28 O 0.864 0.136 0.750
O29 O 0.792 0.464 0.852
O30 O 0.963 0.009 0.600
O31 O 0.329 0.952 0.836
O32 O 0.619 0.547 0.602
O33 O 0.453 0.381 0.898
O34 O 0.179 0.680 0.509
O35 O 0.642 0.428 0.320
O36 O 0.345 0.315 0.988
O37 O 0.208 0.536 0.148
O38 O 0.384 0.367 0.265
O39 O 0.952 0.329 0.336
O40 O 0.320 0.821 0.991
O41 O 0.358 0.572 0.680
O42 O 0.821 0.320 0.491
P1 P 0.682 0.527 0.326
P2 P 0.579 0.619 0.027
P3 P 0.473 0.318 0.174
P4 P 0.318 0.473 0.674
P5 P 0.527 0.682 0.826
P6 P 0.619 0.579 0.527
P7 P 0.421 0.381 0.973
P8 P 0.381 0.421 0.473
```

=====

# 6
A plane-wave DFT calculation with GGA+U was carried out for an optimized crystal structure of Li4Mn7O2F14.

The structure in CIF format:
```
data_Li4Mn7O2F14
_chemical_formula_sum 'Li4 Mn7 O2 F14'
_symmetry_space_group_name_H-M 'P 1'
_symmetry_Int_Tables_number 1
_cell_length_a 6.206
_cell_length_b 6.206
_cell_length_c 11.136
_cell_angle_alpha 72.81
_cell_angle_beta 72.81
_cell_angle_gamma 62.31
loop_
_symmetry_equiv_pos_as_xyz
'x,y,z'
loop_
_atom_site_label
_atom_site_type_symbol
_atom_site_fract_x
_atom_site_fract_y
_atom_site_fract_z
Mn1 Mn 0.000 0.500 0.500
Mn2 Mn 0.500 0.000 0.000
Mn3 Mn 0.771 0.771 0.739
Mn4 Mn 0.229 0.229 0.261
Mn5 Mn 0.500 0.500 0.000
Mn6 Mn 0.500 0.000 0.500
Mn7 Mn 0.000 0.500 0.000
F1 F 0.120 0.602 0.630
F2 F 0.115 0.115 0.138
F3 F 0.604 0.127 0.139
F4 F 0.880 0.398 0.370
F5 F 0.396 0.873 0.861
F6 F 0.141 0.141 0.613
F7 F 0.634 0.634 0.626
F8 F 0.602 0.120 0.630
F9 F 0.859 0.859 0.387
F10 F 0.366 0.366 0.374
F11 F 0.885 0.885 0.862
F12 F 0.873 0.396 0.861
F13 F 0.398 0.880 0.370
F14 F 0.127 0.604 0.139
Li1 Li 0.080 0.080 0.797
Li2 Li 0.579 0.579 0.287
Li3 Li 0.421 0.421 0.713
Li4 Li 0.920 0.920 0.203
O1 O 0.362 0.362 0.909
O2 O 0.638 0.638 0.091
```

=====

# 7
A plane-wave DFT calculation with GGA+U was carried out for an optimized crystal structure of Li4Mn5CrP6O24.

The structure in CIF format:
```
data_Li4Mn5CrP6O24
_chemical_formula_sum 'Li4 Mn5 Cr1 P6 O24'
_symmetry_space_group_name_H-M 'P 1'
_symmetry_Int_Tables_number 1
_cell_length_a 8.507
_cell_length_b 8.622
_cell_length_c 8.683
_cell_angle_alpha 62.39
_cell_angle_beta 63.21
_cell_angle_gamma 63.26
loop_
_symmetry_equiv_pos_as_xyz
'x,y,z'
loop_
_atom_site_label
_atom_site_type_symbol
_atom_site_fract_x
_atom_site_fract_y
_atom_site_fract_z
O1 O 0.559 0.097 0.302
O2 O 0.456 0.233 0.588
O3 O 0.257 0.074 0.899
O4 O 0.247 0.606 0.428
O5 O 0.816 0.607 0.004
O6 O 0.750 0.921 0.087
O7 O 0.947 0.186 0.405
O8 O 0.911 0.251 0.077
O9 O 0.746 0.400 0.584
O10 O 0.464 0.901 0.684
O11 O 0.308 0.524 0.101
O12 O 0.920 0.088 0.748
O13 O 0.388 0.016 0.189
O14 O 0.570 0.759 0.396
O15 O 0.610 0.423 0.248
O16 O 0.395 0.570 0.758
O17 O 0.006 0.810 0.610
O18 O 0.607 0.996 0.820
O19 O 0.102 0.298 0.507
O20 O 0.090 0.745 0.923
O21 O 0.905 0.689 0.459
O22 O 0.062 0.923 0.261
O23 O 0.688 0.457 0.909
O24 O 0.180 0.390 0.995
Mn1 Mn 0.656 0.651 0.658
Mn2 Mn 0.350 0.352 0.351
Mn3 Mn 0.145 0.151 0.148
Mn4 Mn 0.016 0.001 0.992
Mn5 Mn 0.491 0.502 0.501
P1 P 0.246 0.549 0.951
P2 P 0.446 0.049 0.749
P3 P 0.056 0.752 0.446
P4 P 0.558 0.954 0.246
P5 P 0.936 0.245 0.551
P6 P 0.753 0.444 0.054
Cr1 Cr 0.852 0.850 0.852
Li1 Li 0.742 0.149 0.362
Li2 Li 0.648 0.263 0.857
Li3 Li 0.851 0.652 0.270
Li4 Li 0.269 0.849 0.651
```

=====

no.,DFT total energy (eV per atom)
1,-5.3644
2,-5.7878
3,-7.4305
4,-6.1864
5,-5.4397
6,-6.0946
7,-7.2192